No. 1
! r2SCAN K2GaAs2, optimized geometry; values from VASP
! Energy of formation from the pure elements: -301 kJ/mol of formula units
! Magnetization: 0.0 Bohr magnetons per cell
&SYSTEM
  ibrav = 0, nat = 40, ntyp = 3
/
ATOMIC_SPECIES
Ga 69.72 Ga.upf
As 74.92 As.upf
K 39.10 K.upf
CELL_PARAMETERS angstrom
-11.4353 7.6177 -4.3196
-0.5536 -5.0147 -7.3779
-6.2770 -9.2120 0.3715
ATOMIC_POSITIONS angstrom
Ga -12.4028 4.7937 -3.9957
As -10.4730 3.3691 -4.0639
As -7.7928 -9.9782 -7.2622
K -10.8657 -2.7991 -5.9872
K -5.0457 -7.9471 -6.1738
Ga -8.0036 -5.4841 -2.0755
K -13.2680 -5.3268 -3.7990
Ga -11.1298 -2.7511 -2.1435
K -10.6644 -4.5074 -9.8739
As -6.9602 0.1916 -3.9450
As -11.4300 0.5216 -7.9941
As -8.3725 -2.0980 -8.1083
As -13.2637 1.2004 -9.4920
As -2.2563 -2.9019 -1.7041
K -7.4001 -3.8100 -5.3389
K -13.9645 -1.7577 -7.8612
K -10.6816 3.7750 -7.2889
K -4.9979 -1.2822 -7.5270
Ga -7.1361 -3.8580 -9.1826
As -5.1989 -1.5244 -4.0848
K -4.3014 -4.8513 -3.4648
As -5.4692 -4.8294 -7.7557
As -16.0096 -3.7072 -9.6219
As -9.8934 -4.5111 -3.2177
As -6.8359 -7.1306 -3.3319
Ga -14.1558 -5.2279 -9.3500
K -16.5947 -7.2536 -10.7428
K -7.5843 -10.3840 -4.0372
K -7.6015 -2.1017 -1.4521
K -10.1590 -7.6459 -4.3063
Ga -4.1101 -1.3811 -1.9760
As -13.0670 -5.0847 -7.2412
Ga -10.2622 -1.1249 -9.2505
K -8.1068 1.0369 -7.0198
K -1.6711 0.6445 -0.5833
As -5.0022 -7.8095 -1.8340
As -12.7967 -1.7797 -3.5703
As -11.3056 -6.8007 -7.3811
K -13.2202 1.3381 -5.1523
Ga -5.8630 -11.4027 -7.3304

=====

No. 2
! r2SCAN Mg2B24C, optimized geometry; values from VASP
! Energy of formation from the pure elements: -404 kJ/mol of formula units
! Magnetization: 0.0 Bohr magnetons per cell
&SYSTEM
  ibrav = 0, nat = 54, ntyp = 3
/
ATOMIC_SPECIES
B 10.81 B.upf
C 12.01 C.upf
Mg 24.30 Mg.upf
CELL_PARAMETERS angstrom
-8.6151 0.1507 2.4140
-2.4178 -0.7741 -8.5805
0.0365 -5.0575 0.4460
ATOMIC_POSITIONS angstrom
B -5.3822 -4.6063 0.3030
B -3.2389 -2.3886 -2.8128
C -5.5165 -0.3117 -3.0833
B -8.5087 -0.8233 -2.9364
B -2.2088 -0.4795 -0.2004
B -8.2189 -5.0832 -4.0865
Mg -5.4982 -2.8405 -2.8603
B -4.2712 -5.3072 -6.9244
B -5.5822 -3.0704 -0.5687
B -5.9822 -2.9877 1.2128
C 0.0182 -2.5288 0.2230
B -4.1441 -2.2334 -1.1437
B -4.7971 -4.8568 -4.0747
B -6.1720 -4.6230 -1.3109
B -3.2216 -3.8232 -6.9979
Mg 0.0000 0.0000 0.0000
B -9.7784 -0.8767 -4.2501
B -6.8987 -1.0114 -3.7117
B -5.0071 -3.6913 -6.8453
B -7.7638 -2.4363 -2.9833
B -2.6134 -3.1183 -1.3295
B -8.3401 -4.6570 0.6173
B -1.2484 -0.6027 -1.8410
B -7.2582 -3.1763 -1.4680
B -8.3768 -3.4232 -4.3152
B -8.4841 -3.0516 -0.1905
B -5.4081 -3.4666 -5.0763
B -4.1251 -0.8707 -2.3438
B -3.0844 -5.0700 -4.2598
B -9.5461 -2.4132 -3.3874
Mg -4.2984 -1.1890 1.3185
B -6.8588 -2.5626 -4.6549
Mg -1.1815 -4.1802 -3.9558
B -4.0949 -0.9721 -5.7715
B -1.4575 -2.2697 -2.4211
B -7.1034 -0.9556 -5.4345
B -5.5850 -5.1341 -5.6655
B -6.6950 -4.5753 1.5743
B -2.6262 -5.1966 -5.9699
B -7.7658 -3.1164 1.3883
B -6.9318 -0.5118 -0.3192
B -8.8178 -1.0288 -5.8881
B -2.5063 -3.4728 -5.4557
B -7.0017 -2.1678 -0.0266
B -8.1422 -2.7002 -5.8732
B -1.2950 -1.9814 -0.6551
B -3.7318 -3.3895 -4.1745
B -4.0009 -2.6526 -5.7698
B -2.7473 -4.7948 -1.2640
B -3.9235 -0.5114 -0.6577
B -9.7106 -2.4409 -5.1765
B -2.8604 -2.1372 0.0783
B -7.8816 -4.8250 -1.0891
B -2.5171 -0.7982 -3.1421

=====

No. 3
! r2SCAN Sr2Re6S11, optimized geometry; values from VASP
! Energy of formation from the pure elements: -1800 kJ/mol of formula units
! Magnetization: 0.0 Bohr magnetons per cell
&SYSTEM
  ibrav = 0, nat = 38, ntyp = 3
/
ATOMIC_SPECIES
S 32.06 S.upf
Re 186.21 Re.upf
Sr 87.62 Sr.upf
CELL_PARAMETERS angstrom
10.8923 -4.5710 -0.0153
10.8923 4.5710 -0.0153
8.9848 0.0000 7.6688
ATOMIC_POSITIONS angstrom
S 2.8405 0.0000 0.7051
S 11.7228 1.8072 0.6122
Re 10.3208 -0.9355 6.7834
S 19.0467 -1.8072 7.0260
Re 11.9967 -3.0804 0.0326
Re 19.1632 -4.0159 6.0330
Re 14.6708 -0.5552 2.1986
S 12.5442 0.0000 3.1140
S 20.2297 -1.0278 2.2603
S 18.5847 2.2317 1.8943
Sr 5.8291 0.0000 1.4470
Re 16.4891 -1.4907 3.8670
S 16.9397 -1.0278 1.5283
Re 16.0987 0.5552 5.4396
Re 14.2804 1.4907 3.7712
Re 16.7207 0.9355 2.9338
S 13.6042 -1.1697 0.0262
S 13.8298 1.0278 6.1100
S 19.4756 2.8350 5.2983
S 15.7863 -1.7360 6.1744
Re 20.4487 0.9355 0.8548
S 17.1653 1.1697 7.6121
S 14.9832 1.7360 1.4639
S 27.9289 0.0000 6.9331
Sr 24.9404 0.0000 6.1912
S 12.6729 3.4014 3.7777
Sr 9.5557 0.0000 2.3721
S 18.2253 0.0000 4.5243
Sr 21.2138 0.0000 5.2661
S 14.5543 -2.7638 3.1916
S 12.1848 -2.2317 5.7439
S 10.5398 1.0278 5.3779
Re 14.0487 -0.9355 4.7045
Re 11.6063 4.0159 1.6052
Re 18.7728 3.0804 7.6056
S 18.0966 -3.4014 3.8605
S 11.2939 -2.8350 2.3400
S 16.2152 2.7638 4.4466

=====

No. 4
! r2SCAN K3HS2O8, optimized geometry; values from VASP
! Energy of formation from the pure elements: -2528 kJ/mol of formula units
! Magnetization: 0.0 Bohr magnetons per cell
&SYSTEM
  ibrav = 0, nat = 14, ntyp = 4
/
ATOMIC_SPECIES
K 39.10 K.upf
H 1.01 H.upf
O 16.00 O.upf
S 32.06 S.upf
CELL_PARAMETERS angstrom
-1.0243 -5.1987 1.8372
4.2066 -3.6817 0.4476
2.1605 -0.6626 7.4095
ATOMIC_POSITIONS angstrom
K 0.0000 0.0000 0.0000
H 1.5912 -4.4402 1.1424
O 3.3330 -4.0453 8.1308
K 1.4774 -2.0139 3.3632
O 2.8455 -6.5191 3.5948
O 2.0034 -5.3476 6.6028
O 4.2576 -4.6939 6.0040
O 2.0097 -5.4978 1.5635
O 1.0852 -4.8492 3.6903
S 3.0045 -4.2769 6.6411
S 2.3383 -5.2661 3.0532
K 3.8653 -7.5292 6.3311
O 2.4973 -3.0240 6.0995
O 3.3393 -4.1955 3.0915

=====

Question: What is the formula in the fourth record?
Answer: K3HS2O8